This record from the Materials Project database describes a geometry-optimized Li3Mn4B4O12 structure. The functional is PBE+U.

Geometry as POSCAR:
```
Li3Mn4B4O12
1.0
7.882 0.000 0.000
0.879 7.885 0.000
1.354 1.073 8.093
Li Mn B O
6 8 8 24
Cartesian
2.888 1.420 1.782 Li
6.246 3.176 2.196 Li
2.587 6.952 2.219 Li
7.528 2.005 5.874 Li
3.869 5.781 5.897 Li
7.227 7.537 6.310 Li
3.081 8.476 4.663 Mn
6.319 7.879 0.685 Mn
1.916 3.977 0.641 Mn
3.539 4.328 3.460 Mn
6.576 4.629 4.633 Mn
8.199 4.981 7.452 Mn
3.795 1.079 7.408 Mn
7.034 0.482 3.430 Mn
0.869 3.007 3.282 B
4.897 1.953 4.767 B
5.558 3.638 7.382 B
1.967 7.491 7.234 B
8.148 1.467 0.859 B
4.557 5.319 0.710 B
5.218 7.004 3.326 B
9.246 5.951 4.810 B
1.242 0.506 0.980 O
2.067 3.030 2.536 O
3.976 1.456 0.110 O
0.449 2.622 0.103 O
3.677 1.788 5.412 O
5.922 1.066 5.063 O
2.305 5.000 4.964 O
5.111 3.011 3.891 O
1.574 7.068 3.969 O
6.939 1.365 1.552 O
3.348 5.272 1.469 O
4.624 4.622 7.223 O
5.491 4.335 0.870 O
6.767 3.685 6.624 O
3.176 7.593 6.540 O
8.541 1.889 4.123 O
5.004 5.947 4.202 O
7.810 3.957 3.128 O
4.193 7.892 3.030 O
6.438 7.169 2.680 O
9.666 6.335 7.990 O
6.139 7.501 7.983 O
8.048 5.927 5.557 O
8.873 8.451 7.112 O
```

Results
**Calculated formation energy**: -5460.9 kJ/mol of formula units
**Spin magnetization**: 38.0 Bohr magnetons per cell
**SG**: P-1, No. 2
**Calculated volume**: 10.93 A^3/atom
**Energy above the lowest structure with this stoichiometry**: 0.27 eV/f.u.
**E (MP2020)**: -8.046 eV per atom


This record from the Materials Project database describes a geometry-optimized LiCoPO4 structure. The functional is PBE+U.

Geometry as POSCAR:
```
LiCoPO4
1.0
-1.949 -1.113 4.432
-7.190 4.224 -2.302
-0.407 -8.343 -2.501
Li Co P O
4 4 4 16
Cartesian
-3.876 -1.792 -2.188 Li
-5.054 -6.520 -1.223 Li
-1.921 -1.343 4.168 Li
-1.150 -4.958 0.702 Li
-4.006 -6.536 1.795 Co
-5.538 1.278 -2.139 Co
-2.828 -1.807 0.829 Co
-6.716 -3.451 -1.173 Co
-2.970 -3.920 3.012 P
-2.199 -7.536 -0.453 P
-5.677 -0.846 0.035 P
-4.906 -4.462 -3.431 P
-1.742 -0.135 0.810 O
-2.919 -4.863 1.776 O
-6.090 0.389 0.886 O
-5.319 -3.227 -2.580 O
-2.316 -2.567 2.608 O
-1.545 -6.182 -0.857 O
-4.844 -0.334 -1.176 O
-6.022 -5.062 -0.211 O
-2.500 -2.604 -0.975 O
-3.678 -7.332 -0.009 O
-5.774 3.124 -1.409 O
-6.952 -1.604 -0.443 O
-4.818 -1.851 0.855 O
-4.047 -5.466 -2.611 O
-7.440 0.820 -2.509 O
-8.617 -3.908 -1.544 O
```

Results
**Calculated formation energy**: -1620.5 kJ/mol of formula units
**Spin magnetization**: 0.0 Bohr magnetons per cell
**Calculated volume**: 12.52 A^3/atom
**Energy above the lowest structure with this stoichiometry**: 0.06 eV/f.u.
**E (MP2020)**: -7.288 eV per atom


This record from the Materials Project database describes a geometry-optimized CaSmMn4O12 structure. The functional is PBE+U.

Geometry as POSCAR:
```
CaSmMn4O12
1.0
5.327 0.000 0.000
0.000 5.327 0.000
0.000 0.000 7.564
Ca Sm Mn O
1 1 4 12
Cartesian
2.664 2.664 0.000 Ca
0.000 0.000 3.782 Sm
0.000 2.664 5.697 Mn
0.000 2.664 1.868 Mn
2.664 0.000 5.697 Mn
2.664 0.000 1.868 Mn
1.300 1.300 5.592 O
1.300 1.300 1.972 O
4.028 4.028 5.592 O
4.028 4.028 1.972 O
4.028 1.300 5.592 O
4.028 1.300 1.972 O
1.300 4.028 5.592 O
1.300 4.028 1.972 O
0.000 2.664 3.782 O
0.000 2.664 0.000 O
2.664 0.000 3.782 O
2.664 0.000 0.000 O
```

Results
**Calculated formation energy**: -3299.4 kJ/mol of formula units
**SG**: P4/mmm, No. 123
**Calculated volume**: 11.93 A^3/atom
**E (MP2020)**: -7.608 eV per atom


This record from the Materials Project database describes a geometry-optimized Li9Mn2Co5O16 structure. The functional is PBE+U.

Geometry as POSCAR:
```
Li9Mn2Co5O16
1.0
-0.207 2.578 -1.556
-6.341 0.800 -0.706
-0.645 8.652 12.830
Li Mn Co O
9 2 5 16
Cartesian
-1.310 6.740 6.054 Li
-4.337 5.614 2.099 Li
-0.890 1.090 0.396 Li
-5.883 5.291 4.514 Li
-2.674 3.349 1.269 Li
-6.303 10.941 10.173 Li
-4.519 8.683 9.299 Li
-2.856 6.417 8.469 Li
-3.274 1.689 -1.131 Li
-0.649 8.426 8.482 Mn
-6.544 3.605 2.086 Mn
-3.493 4.726 6.062 Co
-1.958 5.069 3.680 Co
-4.949 3.868 -0.357 Co
-2.244 8.163 10.926 Co
-5.235 6.963 6.888 Co
-0.769 6.213 8.108 O
-3.822 5.133 4.187 O
-0.491 3.198 0.874 O
-5.558 7.488 4.939 O
-2.092 3.009 3.256 O
-5.205 1.805 -0.562 O
-4.168 10.752 9.663 O
-2.516 8.518 8.970 O
-1.635 4.543 5.629 O
-4.677 3.513 1.598 O
-1.988 10.226 11.131 O
-6.424 5.818 2.460 O
-3.025 1.280 0.906 O
-6.702 8.833 9.694 O
-5.101 9.022 7.312 O
-3.371 6.898 6.381 O
```

Results
**Calculated formation energy**: -5524.7 kJ/mol of formula units
**Spin magnetization**: 14.0 Bohr magnetons per cell
**SG**: P-1, No. 2
**Calculated volume**: 9.13 A^3/atom
**Energy above the lowest structure with this stoichiometry**: 2.39 eV/f.u.
**E (MP2020)**: -6.484 eV per atom


This record from the Materials Project database describes a geometry-optimized Li4V3P8O29 structure. The functional is PBE+U.

Geometry as POSCAR:
```
Li4V3P8O29
1.0
5.642 7.374 -3.108
0.983 -8.917 -3.994
-9.741 3.368 -9.765
Li V P O
8 6 16 58
Cartesian
1.410 2.200 -9.800 Li
-7.309 4.711 -10.472 Li
-3.805 7.826 -12.888 Li
0.089 6.313 -7.048 Li
4.245 -2.847 -6.276 Li
-4.566 -0.338 -7.123 Li
1.036 -0.948 -2.581 Li
-3.759 -6.791 -9.056 Li
-3.834 -3.207 -12.567 V
1.708 -3.905 -8.183 V
-1.812 -4.260 -4.671 V
-6.916 -1.360 -9.113 V
-3.537 1.637 -11.350 V
0.405 0.249 -5.613 V
3.479 0.089 -6.649 P
-0.594 2.831 -12.009 P
-4.480 2.490 -8.316 P
-4.420 4.864 -11.820 P
0.536 3.219 -7.072 P
0.340 2.091 -2.906 P
-1.174 -5.383 -7.655 P
3.820 5.198 -5.297 P
-6.939 -3.443 -11.575 P
-1.947 7.125 -9.203 P
-3.417 -0.286 -13.935 P
-3.595 -1.318 -9.841 P
1.253 -2.972 -4.967 P
1.346 -0.662 -8.582 P
-2.497 -1.055 -4.855 P
-6.593 1.708 -10.251 P
1.076 0.270 -9.707 O
-1.719 1.878 -11.491 O
-8.248 -3.746 -12.166 O
4.178 1.424 -7.044 O
2.254 0.453 -5.756 O
-3.836 3.397 -11.905 O
-3.531 2.225 -9.496 O
-7.454 2.772 -10.877 O
0.544 0.783 -3.735 O
1.915 2.768 -7.696 O
-0.861 4.247 -11.503 O
0.120 1.975 -6.137 O
-5.504 5.156 -12.797 O
-0.455 3.447 -8.158 O
-4.974 4.970 -10.341 O
3.722 3.851 -6.056 O
-3.217 5.872 -11.961 O
-4.444 3.992 -7.910 O
-0.251 -6.543 -6.977 O
-2.060 -5.975 -8.678 O
0.815 1.947 -1.515 O
1.028 3.276 -3.658 O
0.758 4.442 -6.136 O
-5.760 -3.463 -12.610 O
-2.982 6.019 -8.858 O
-1.064 6.686 -10.400 O
-6.428 -4.547 -10.494 O
0.747 2.260 -11.664 O
-3.907 -0.603 -5.131 O
-2.058 -4.890 -6.445 O
-0.202 -4.272 -8.079 O
2.747 5.297 -4.196 O
-3.884 -2.517 -10.868 O
-4.135 -1.470 -13.254 O
-3.769 -0.205 -15.396 O
-1.095 7.516 -8.044 O
-2.812 8.364 -9.778 O
1.319 -2.157 -9.004 O
-0.045 -3.920 -4.939 O
-6.870 -2.077 -10.796 O
1.866 -3.107 -6.404 O
2.198 -3.327 -3.877 O
-2.521 -1.675 -8.879 O
-3.212 -0.112 -10.785 O
-2.223 -2.490 -5.329 O
-4.939 -0.939 -9.151 O
-3.696 1.014 -13.162 O
2.842 -0.426 -8.044 O
4.347 -0.965 -6.093 O
0.419 -0.473 -7.337 O
0.686 -1.518 -4.793 O
-5.396 1.317 -11.132 O
-7.411 0.459 -9.845 O
-0.429 -1.950 -1.667 O
-2.212 -1.025 -3.261 O
-1.452 -0.076 -5.451 O
-4.313 1.604 -7.118 O
-5.988 2.293 -8.879 O
```

Results
**Calculated formation energy**: -10918.0 kJ/mol of formula units
**Spin magnetization**: 2.0 Bohr magnetons per cell
**SG**: P1, No. 1
**Calculated volume**: 13.46 A^3/atom
**Energy above the lowest structure with this stoichiometry**: 0.51 eV/f.u.
**E (MP2020)**: -7.610 eV per atom


This record from the Materials Project database describes a geometry-optimized Li4Fe3Cu3Sn2O16 structure. The functional is PBE+U.

Geometry as POSCAR:
```
Li4Fe3Cu3Sn2O16
1.0
-3.835 -3.132 3.312
5.292 -2.375 -1.478
3.965 3.786 8.090
Li Fe Cu Sn O
4 3 3 2 16
Cartesian
5.837 0.836 7.338 Li
3.946 3.746 8.051 Li
1.931 1.801 4.018 Li
0.767 -1.350 4.908 Li
2.714 -3.237 2.691 Fe
3.144 -1.475 7.558 Fe
0.544 -0.300 8.289 Fe
4.592 -1.687 1.072 Cu
1.987 -0.534 1.805 Cu
2.432 1.234 6.647 Cu
4.175 -0.793 4.108 Sn
3.150 0.865 9.723 Sn
6.161 -0.195 4.117 O
3.912 -0.035 2.100 O
2.708 -2.144 0.998 O
1.188 1.084 2.483 O
3.171 2.973 6.573 O
3.459 1.001 4.905 O
4.617 -2.510 2.897 O
2.223 -1.492 3.619 O
0.035 -1.013 1.613 O
4.214 -1.878 5.858 O
3.955 0.401 7.795 O
1.540 1.505 8.433 O
1.641 -0.504 6.602 O
0.776 -3.882 2.586 O
2.180 -0.975 9.270 O
-1.990 -2.598 3.308 O
```

Results
**Calculated formation energy**: -4366.3 kJ/mol of formula units
**Spin magnetization**: 15.3 Bohr magnetons per cell
**SG**: P1, No. 1
**Calculated volume**: 10.79 A^3/atom
**E (MP2020)**: -6.349 eV per atom


This record from the Materials Project database describes a geometry-optimized Li2TiFeO4 structure. The functional is PBE+U.

Geometry as POSCAR:
```
Li2TiFeO4
1.0
3.055 1.748 -2.515
-2.896 -5.653 -7.455
-2.700 7.007 -2.158
Li Ti Fe O
8 4 4 16
Cartesian
-1.333 0.675 -4.859 Li
-4.191 2.303 -7.146 Li
-1.233 -1.265 -9.852 Li
-1.175 6.062 -4.704 Li
0.266 3.724 -4.690 Li
0.130 -1.659 -4.857 Li
-2.756 -0.055 -7.134 Li
0.138 -3.662 -9.791 Li
0.293 -0.228 -7.611 Ti
-2.841 1.269 -9.678 Ti
0.193 1.740 -2.626 Ti
-2.625 3.399 -4.942 Ti
-1.211 2.405 -7.240 Fe
-1.359 -2.949 -7.401 Fe
-1.290 4.369 -2.256 Fe
1.608 0.761 -4.925 Fe
-2.745 1.689 -5.855 O
0.166 -1.928 -8.531 O
0.254 5.400 -3.414 O
0.074 0.037 -3.538 O
0.172 1.223 -6.289 O
-2.595 2.924 -8.653 O
-2.800 -2.464 -8.755 O
-2.740 4.848 -3.618 O
-1.415 -1.197 -6.104 O
-4.107 0.544 -8.532 O
1.546 2.512 -3.629 O
-1.274 4.166 -5.946 O
-4.133 4.139 -5.899 O
-1.203 0.532 -8.580 O
-1.163 7.834 -3.418 O
-1.309 2.484 -3.573 O
```

Results
**Calculated formation energy**: -1982.4 kJ/mol of formula units
**Spin magnetization**: 0.0 Bohr magnetons per cell
**SG**: P1, No. 1
**Calculated volume**: 9.70 A^3/atom
**Energy above the lowest structure with this stoichiometry**: 0.02 eV/f.u.
**E (MP2020)**: -7.565 eV per atom


This record from the Materials Project database describes a geometry-optimized Li5Ni3Sn2O10 structure. The functional is PBE+U.

Geometry as POSCAR:
```
Li5Ni3Sn2O10
1.0
-1.049 5.083 -0.182
-6.966 -2.989 7.269
2.471 2.516 7.231
Li Ni Sn O
10 6 4 20
Cartesian
-6.775 3.328 10.696 Li
-1.531 3.539 10.769 Li
-0.418 3.543 2.842 Li
-2.140 0.765 10.184 Li
-5.042 1.024 11.459 Li
-3.319 3.801 4.117 Li
-0.570 4.502 5.684 Li
-4.764 -0.791 5.792 Li
-5.068 0.153 8.663 Li
-0.874 5.446 8.553 Li
-3.281 4.833 7.059 Ni
-4.066 2.011 6.416 Ni
-1.475 2.608 7.907 Ni
-7.473 -0.463 7.171 Ni
1.179 2.221 6.488 Ni
-6.718 2.396 7.832 Ni
-1.400 1.683 5.039 Sn
-4.173 3.988 12.197 Sn
-4.145 2.938 9.311 Sn
-1.371 0.632 2.151 Sn
-2.358 3.222 6.075 O
-4.081 0.443 13.416 O
-3.243 1.429 8.103 O
-1.519 4.206 0.762 O
-0.586 1.014 6.840 O
-5.829 0.803 6.768 O
-4.924 3.491 7.413 O
0.321 3.701 7.485 O
-1.583 5.157 3.789 O
-3.306 2.379 11.130 O
-3.937 -0.532 10.537 O
-2.214 2.246 3.195 O
0.272 1.851 1.689 O
-2.501 4.158 8.847 O
1.072 5.840 5.415 O
-3.124 0.547 5.524 O
0.341 2.804 4.815 O
-4.903 2.594 4.744 O
-5.823 1.787 9.619 O
-0.579 1.998 9.692 O
```

Results
**Calculated formation energy**: -3603.7 kJ/mol of formula units
**Spin magnetization**: 0.0 Bohr magnetons per cell
**Calculated volume**: 9.78 A^3/atom
**Energy above the lowest structure with this stoichiometry**: 0.00 eV/f.u.
**E (MP2020)**: -6.087 eV per atom


This record from the Materials Project database describes a geometry-optimized GeWO4 structure. The functional is PBE+U.

Geometry as POSCAR:
```
GeWO4
1.0
5.055 0.000 0.000
0.000 5.585 0.000
0.000 0.000 11.703
Ge W O
4 4 16
Cartesian
0.862 1.396 0.000 Ge
1.666 1.396 5.852 Ge
4.194 4.189 0.000 Ge
3.389 4.189 5.852 Ge
3.791 0.788 2.926 W
3.791 2.004 8.778 W
1.264 3.581 2.926 W
1.264 4.797 8.778 W
4.549 0.565 1.153 O
3.034 0.565 4.699 O
2.523 0.724 9.318 O
0.005 0.724 8.237 O
2.523 2.068 2.385 O
0.005 2.068 3.467 O
3.034 2.228 7.005 O
4.549 2.228 10.551 O
0.506 3.357 1.153 O
2.021 3.357 4.699 O
5.050 3.516 8.237 O
2.532 3.516 9.318 O
2.532 4.861 2.385 O
5.050 4.861 3.467 O
2.021 5.020 7.005 O
0.506 5.020 10.551 O
```

Results
**Calculated formation energy**: -1131.5 kJ/mol of formula units
**Spin magnetization**: 0.0 Bohr magnetons per cell
**SG**: Pnna, No. 52
**Calculated volume**: 13.77 A^3/atom
**Energy above the lowest structure with this stoichiometry**: 0.00 eV/f.u.
**E (MP2020)**: -8.183 eV per atom


This record from the Materials Project database describes a geometry-optimized AlW3O8 structure. The functional is PBE+U.

Geometry as POSCAR:
```
AlW3O8
1.0
5.241 0.000 0.000
-0.075 5.613 0.000
-0.034 -0.015 9.323
Al W O
2 6 16
Cartesian
1.270 1.867 7.004 Al
3.863 3.731 2.320 Al
3.908 3.568 6.985 W
1.225 2.029 2.338 W
1.202 4.736 4.676 W
1.249 4.685 9.282 W
3.930 0.861 4.648 W
3.883 0.912 0.041 W
2.089 3.369 8.005 O
0.373 3.341 5.956 O
3.043 2.228 1.318 O
4.760 2.256 3.367 O
2.102 0.698 3.583 O
0.529 0.727 1.081 O
3.030 4.899 5.741 O
4.604 4.871 8.242 O
4.837 2.068 7.992 O
2.954 2.118 5.989 O
0.295 3.530 1.332 O
2.178 3.480 3.334 O
2.078 0.654 8.221 O
3.055 4.943 1.102 O
0.482 0.633 5.793 O
4.651 4.964 3.530 O
```

Results
**Calculated formation energy**: -2665.6 kJ/mol of formula units
**Spin magnetization**: 10.0 Bohr magnetons per cell
**SG**: P-1, No. 2
**Calculated volume**: 11.43 A^3/atom
**Energy above the lowest structure with this stoichiometry**: 0.00 eV/f.u.
**E (MP2020)**: -9.153 eV per atom